# 1
A relaxed structure of Nd6MnSi2S14, computed with PBE-GGA.

Cell and atoms, written as POSCAR:
```
Nd6MnSi2S14
1.0
10.2318 0.0000 0.0000
-5.1159 8.8610 0.0000
0.0000 0.0000 5.7066
Nd Mn Si S
6 1 2 14
direct
0.0227 0.5671 0.0000 Nd
0.3099 0.0993 0.5015 Nd
0.4329 0.4556 0.0000 Nd
0.5444 0.9773 0.0000 Nd
0.7894 0.6901 0.5015 Nd
0.9007 0.2106 0.5015 Nd
0.6667 0.3333 0.2630 Mn
0.0000 0.0000 0.9165 Si
0.3333 0.6667 0.4149 Si
0.0000 0.0000 0.2851 S
0.0757 0.8556 0.7720 S
0.1444 0.2201 0.7720 S
0.1894 0.4466 0.2705 S
0.2572 0.8106 0.2705 S
0.3333 0.6667 0.7838 S
0.4219 0.1727 0.0233 S
0.5043 0.4153 0.5019 S
0.5534 0.7428 0.2705 S
0.5847 0.0889 0.5019 S
0.7508 0.5781 0.0233 S
0.7799 0.9243 0.7720 S
0.8273 0.2492 0.0233 S
0.9111 0.4957 0.5019 S
```

## Properties
**Total magnetization**: 4.999 μB per formula unit
**VASP energy**: -6.240 eV per atom
**ΔH_f (0 K)**: -1.91 eV per atom

# 2
A relaxed structure of NdMn2Si2, computed with PBE-GGA.

Cell and atoms, written as POSCAR:
```
NdMn2Si2
1.0
3.9705 0.0000 0.0000
0.0000 3.9705 0.0000
0.0000 0.0000 10.4814
Nd Mn Si
2 4 4
direct
0.0000 0.0000 0.0000 Nd
0.5000 0.5000 0.5000 Nd
0.0000 0.5000 0.2500 Mn
0.0000 0.5000 0.7500 Mn
0.5000 0.0000 0.2500 Mn
0.5000 0.0000 0.7500 Mn
0.0000 0.0000 0.3752 Si
0.0000 0.0000 0.6248 Si
0.5000 0.5000 0.1248 Si
0.5000 0.5000 0.8752 Si
```

## Properties
**VASP energy**: -7.362 eV per atom
**ΔH_f (0 K)**: -0.55 eV per atom

# 3
A relaxed structure of NdMnSi2, computed with PBE-GGA.

Cell and atoms, written as POSCAR:
```
NdMnSi2
1.0
4.0744 0.0000 0.0000
0.0000 17.5956 0.0000
0.0000 0.0000 3.9861
Nd Mn Si
4 4 8
direct
0.0000 0.1013 0.2500 Nd
0.0000 0.8987 0.7500 Nd
0.5000 0.3987 0.7500 Nd
0.5000 0.6013 0.2500 Nd
0.0000 0.2498 0.7500 Mn
0.0000 0.7502 0.2500 Mn
0.5000 0.2502 0.2500 Mn
0.5000 0.7498 0.7500 Mn
0.0000 0.3222 0.2500 Si
0.0000 0.4635 0.2500 Si
0.0000 0.5365 0.7500 Si
0.0000 0.6778 0.7500 Si
0.5000 0.0365 0.7500 Si
0.5000 0.1778 0.7500 Si
0.5000 0.8222 0.2500 Si
0.5000 0.9635 0.2500 Si
```

## Properties
**VASP energy**: -6.812 eV per atom
**ΔH_f (0 K)**: -0.58 eV per atom

# 4
A relaxed structure of NdMn6Sn6, computed with PBE-GGA.

Cell and atoms, written as POSCAR:
```
NdMn6Sn6
1.0
5.5027 0.0000 0.0000
-0.0007 9.0527 0.0000
-2.7488 -4.5215 14.2604
Nd Mn Sn
3 18 18
direct
0.0000 0.0000 0.0000 Nd
0.3303 0.8294 0.6604 Nd
0.6693 0.1684 0.3383 Nd
0.0004 0.5005 0.4995 Mn
0.1643 0.1640 0.8329 Mn
0.1653 0.6666 0.8318 Mn
0.1664 0.4144 0.3333 Mn
0.1656 0.9179 0.3335 Mn
0.3315 0.3305 0.1666 Mn
0.3317 0.8348 0.1671 Mn
0.4984 0.7524 0.9997 Mn
0.4987 0.9998 0.4991 Mn
0.4989 0.2461 0.9997 Mn
0.5004 0.5009 0.4997 Mn
0.6672 0.1636 0.8324 Mn
0.6672 0.6661 0.8317 Mn
0.8324 0.0808 0.6656 Mn
0.8342 0.3310 0.1668 Mn
0.8342 0.8347 0.1671 Mn
0.8353 0.5845 0.6653 Mn
0.9994 0.0003 0.4995 Mn
0.1089 0.6087 0.2191 Sn
0.1118 0.1112 0.2245 Sn
0.2180 0.7185 0.4369 Sn
0.2249 0.2251 0.4498 Sn
0.3329 0.1687 0.6677 Sn
0.3353 0.4962 0.6668 Sn
0.4433 0.9419 0.8856 Sn
0.4446 0.4436 0.8890 Sn
0.5543 0.5552 0.1108 Sn
0.5560 0.0558 0.1131 Sn
0.6653 0.5010 0.3317 Sn
0.6652 0.8296 0.3316 Sn
0.7751 0.7755 0.5497 Sn
0.7811 0.2815 0.5619 Sn
0.8878 0.8869 0.7748 Sn
0.8908 0.3892 0.7795 Sn
0.9983 0.6650 0.9999 Sn
0.9991 0.3350 0.9994 Sn
```

## Properties
**Total magnetization**: 12.968 μB per formula unit
**VASP energy**: -6.572 eV per atom
**ΔH_f (0 K)**: -0.13 eV per atom

# 5
A relaxed structure of Nd4MnSn8, computed with PBE-GGA.

Cell and atoms, written as POSCAR:
```
Nd4MnSn8
1.0
4.4938 0.0000 0.0000
0.0000 4.5701 0.0000
0.0000 0.0000 17.3176
Nd Mn Sn
4 1 8
direct
0.0000 0.0000 0.0000 Nd
0.0000 0.5000 0.4903 Nd
0.5000 0.0000 0.7931 Nd
0.5000 0.5000 0.2946 Nd
0.0000 0.5000 0.7086 Mn
0.0000 0.0000 0.3324 Sn
0.0000 0.0000 0.6299 Sn
0.0000 0.5000 0.1439 Sn
0.0000 0.5000 0.8576 Sn
0.5000 0.0000 0.1492 Sn
0.5000 0.0000 0.4517 Sn
0.5000 0.5000 0.6276 Sn
0.5000 0.5000 0.9719 Sn
```

## Properties
**Total magnetization**: 3.686 μB per formula unit
**VASP energy**: -5.189 eV per atom
**ΔH_f (0 K)**: -0.55 eV per atom

# 6
A relaxed structure of MnNi, computed with PBE-GGA.

Cell and atoms, written as POSCAR:
```
MnNi
1.0
2.9162 0.0000 0.0000
0.0000 2.9162 0.0000
0.0000 0.0000 2.9162
Mn Ni
1 1
direct
0.0000 0.0000 0.0000 Mn
0.5000 0.5000 0.5000 Ni
```

## Properties
**VASP energy**: -7.513 eV per atom
**ΔH_f (0 K)**: -0.04 eV per atom

# 7
A relaxed structure of MnNi, computed with PBE-GGA.

Cell and atoms, written as POSCAR:
```
MnNi
1.0
2.9487 0.0000 0.0000
0.0000 2.9487 0.0000
0.0000 0.0000 2.8447
Mn Ni
1 1
direct
0.0000 0.0000 0.0000 Mn
0.5000 0.5000 0.5000 Ni
```

## Properties
**Total magnetization**: 4.366 μB per formula unit
**VASP energy**: -7.511 eV per atom
**ΔH_f (0 K)**: -0.04 eV per atom

# 8
A relaxed structure of MnNi, computed with PBE-GGA.

Cell and atoms, written as POSCAR:
```
MnNi
1.0
2.4769 0.0000 0.0000
-1.2385 2.1451 0.0000
0.0000 0.0000 12.3195
Mn Ni
3 3
direct
0.0000 0.0000 0.0000 Mn
0.3333 0.6667 0.6667 Mn
0.6667 0.3333 0.3333 Mn
0.0000 0.0000 0.5000 Ni
0.3333 0.6667 0.1667 Ni
0.6667 0.3333 0.8333 Ni
```

## Properties
**Total magnetization**: 1.431 μB per formula unit
**VASP energy**: -7.365 eV per atom
**ΔH_f (0 K)**: 0.11 eV per atom

# 9
A relaxed structure of MnNi, computed with PBE-GGA.

Cell and atoms, written as POSCAR:
```
MnNi
1.0
3.5071 0.0000 0.0000
0.0000 4.1159 0.0000
0.0000 0.0000 3.3901
Mn Ni
2 2
direct
0.0000 0.0000 0.0000 Mn
0.5000 0.5000 0.0000 Mn
0.0000 0.5000 0.5000 Ni
0.5000 0.0000 0.5000 Ni
```

## Properties
**Total magnetization**: 4.116 μB per formula unit
**VASP energy**: -7.424 eV per atom
**ΔH_f (0 K)**: 0.05 eV per atom

# 10
A relaxed structure of MnNiP, computed with PBE-GGA.

Cell and atoms, written as POSCAR:
```
MnNiP
1.0
5.3115 0.0000 0.0000
0.0000 5.3115 0.0000
0.0000 0.0000 5.3115
Mn Ni P
4 4 4
direct
0.0000 0.0000 0.0000 Mn
0.0000 0.5000 0.5000 Mn
0.5000 0.0000 0.5000 Mn
0.5000 0.5000 0.0000 Mn
0.2500 0.2500 0.7500 Ni
0.2500 0.7500 0.2500 Ni
0.7500 0.2500 0.2500 Ni
0.7500 0.7500 0.7500 Ni
0.0000 0.0000 0.5000 P
0.0000 0.5000 0.0000 P
0.5000 0.0000 0.0000 P
0.5000 0.5000 0.5000 P
```

## Properties
**Total magnetization**: 4.002 μB per formula unit
**VASP energy**: -7.026 eV per atom
**ΔH_f (0 K)**: -0.24 eV per atom

# 11
A relaxed structure of MnNiP, computed with PBE-GGA.

Cell and atoms, written as POSCAR:
```
MnNiP
1.0
5.8540 0.0000 0.0000
-2.9270 5.0697 0.0000
0.0000 0.0000 3.4640
Mn Ni P
3 3 3
direct
0.0000 0.6004 0.0000 Mn
0.3996 0.3996 0.0000 Mn
0.6004 0.0000 0.0000 Mn
0.0000 0.2576 0.5000 Ni
0.2576 0.0000 0.5000 Ni
0.7424 0.7424 0.5000 Ni
0.0000 0.0000 0.0000 P
0.3333 0.6667 0.5000 P
0.6667 0.3333 0.5000 P
```

## Properties
**Total magnetization**: 2.316 μB per formula unit
**VASP energy**: -7.333 eV per atom
**ΔH_f (0 K)**: -0.55 eV per atom

# 12
A relaxed structure of MnNiP, computed with PBE-GGA.

Cell and atoms, written as POSCAR:
```
MnNiP
1.0
5.8432 0.0000 0.0000
0.0000 3.4367 0.0000
0.0000 0.0000 6.7516
Mn Ni P
4 4 4
direct
0.0314 0.2500 0.1588 Mn
0.4686 0.7500 0.6588 Mn
0.5314 0.2500 0.3412 Mn
0.9686 0.7500 0.8412 Mn
0.1393 0.2500 0.5645 Ni
0.3607 0.7500 0.0645 Ni
0.6393 0.2500 0.9355 Ni
0.8607 0.7500 0.4355 Ni
0.2410 0.7500 0.3705 P
0.2590 0.2500 0.8705 P
0.7410 0.7500 0.1295 P
0.7590 0.2500 0.6295 P
```

## Properties
**VASP energy**: -7.341 eV per atom
**ΔH_f (0 K)**: -0.56 eV per atom

Question: Which formula does entry 11 have?
Answer: MnNiP

Question: ΔH_f (0 K) of number 11 (MnNiP)?
Answer: -0.55 eV per atom

Question: Which of these has the lowest ΔH_f (0 K)?
Answer: Nd6MnSi2S14

Question: Look up the ΔH_f (0 K) of the fourth one.
Answer: -0.13 eV per atom